Entry 1:
Li4Co5O12 | PBE+U | optimized geometry

Geometry as POSCAR:
```
Li4Co5O12
1.0
4.8830 0.0000 0.0000
-2.4384 4.2468 0.0000
-0.7977 -1.4387 9.7741
Li Co O
4 5 12
Direct
0.1635 0.3469 0.0096
0.0008 0.5058 0.4900
0.6532 0.8370 0.4890
0.2559 0.7620 0.2490
0.9214 0.0732 0.2514
0.7451 0.2535 0.7508
0.4144 0.5865 0.7502
0.5892 0.4145 0.2491
0.0822 0.9202 0.7512
0.0390 0.2171 0.6494
0.2960 0.4271 0.3561
0.6526 0.1367 0.3592
0.5800 0.6987 0.1467
0.7869 0.9610 0.8481
0.8545 0.3449 0.1511
0.1097 0.6142 0.8487
0.2125 0.0790 0.1462
0.4413 0.2827 0.8483
0.3795 0.8811 0.6474
0.7229 0.5587 0.6487
0.9213 0.7776 0.3598
```

Properties
Spin magnetization   3.9 μB/f.u.
Total energy after the MP2020 corrections   -132.7 eV/cell
Energy of formation   -1.433 eV per atom
Energy above the lowest structure with this stoichiometry   25 meV per atom
Calculated volume   203 Å³/cell

Entry 2:
Li4CoO4 | PBE+U | optimized geometry

Geometry as POSCAR:
```
Li4CoO4
1.0
-4.4378 -1.1230 2.5877
4.8263 -4.8346 6.1789
2.1266 12.8782 9.2361
Li Co O
32 8 32
Direct
0.4046 0.1520 0.6486
0.5954 0.1520 0.1486
0.1418 0.1937 0.8384
0.8582 0.1937 0.3384
0.8001 0.2487 0.7153
0.1999 0.2487 0.2153
0.6962 0.2797 0.5165
0.3038 0.2797 0.0165
0.3846 0.3873 0.7571
0.6154 0.3873 0.2571
0.1229 0.3599 0.5870
0.8771 0.3599 0.0870
0.6835 0.5471 0.9453
0.3165 0.5471 0.4453
0.1453 0.5821 0.2540
0.8547 0.5821 0.7540
0.1375 0.6765 0.9975
0.8625 0.6765 0.4975
0.3669 0.6824 0.8246
0.6331 0.6824 0.3246
0.1915 0.7012 0.6401
0.8085 0.7012 0.1401
0.6634 0.8061 0.6487
0.3366 0.8061 0.1487
0.8523 0.8391 0.8290
0.1477 0.8391 0.3290
0.6405 0.8573 0.0055
0.3595 0.8573 0.5055
0.7022 0.9453 0.2583
0.2978 0.9453 0.7583
0.8330 0.9810 0.4481
0.1670 0.9810 0.9481
0.5897 0.0650 0.8641
0.4103 0.0650 0.3641
0.0987 0.4645 0.8792
0.9013 0.4645 0.3792
0.5998 0.5363 0.6165
0.4002 0.5363 0.1165
0.9430 0.9688 0.1233
0.0570 0.9688 0.6233
0.9270 0.0380 0.8651
0.0730 0.0380 0.3651
0.5357 0.1597 0.2704
0.4643 0.1597 0.7704
0.0052 0.1592 0.6299
0.9948 0.1592 0.1299
0.4225 0.1298 0.9507
0.5775 0.1298 0.4507
0.0054 0.3860 0.4750
0.9946 0.3860 0.9750
0.4981 0.3488 0.1190
0.5019 0.3488 0.6190
0.0051 0.3752 0.7843
0.9949 0.3752 0.2843
0.4369 0.4813 0.8696
0.5631 0.4813 0.3696
0.9385 0.5548 0.6205
0.0615 0.5548 0.1205
0.5077 0.6274 0.2100
0.4923 0.6274 0.7100
0.9735 0.6513 0.8737
0.0265 0.6513 0.3737
0.5172 0.6564 0.0333
0.4828 0.6564 0.5333
0.9683 0.8631 0.5353
0.0317 0.8631 0.0353
0.5248 0.8738 0.3593
0.4752 0.8738 0.8593
0.0259 0.8481 0.2127
0.9741 0.8481 0.7127
0.5982 0.9445 0.1268
0.4018 0.9445 0.6268
```

Properties
Spin magnetization   5.0 μB/f.u.
Total energy after the MP2020 corrections   -403.4 eV/cell
Energy of formation   -1.765 eV per atom
Energy above the lowest structure with this stoichiometry   22 meV per atom
Calculated volume   774 Å³/cell

Entry 3:
Li20Co21O42 | PBE+U | optimized geometry

Geometry as POSCAR:
```
Li20Co21O42
1.0
8.5814 0.0000 0.0000
-3.8539 8.7055 0.0000
-3.3276 -2.8783 9.3111
Li Co O
20 21 42
Direct
0.1429 0.5715 0.1429
0.3686 0.1843 0.0462
0.2764 0.1382 0.2763
0.5247 0.7628 0.1903
0.4300 0.7151 0.4298
0.7605 0.3803 0.0950
0.6651 0.3328 0.3328
0.5700 0.2849 0.5702
0.9079 0.9540 0.2305
0.8100 0.9052 0.4762
0.7236 0.8618 0.7237
0.0477 0.5238 0.3809
0.9523 0.4762 0.6191
0.8571 0.4285 0.8571
0.1900 0.0948 0.5238
0.0921 0.0460 0.7695
0.3349 0.6672 0.6672
0.2395 0.6197 0.9050
0.4753 0.2372 0.8097
0.6314 0.8157 0.9538
0.2608 0.8812 0.0949
0.4048 0.4541 0.2383
0.6422 0.0726 0.1428
0.5472 0.0241 0.3807
0.8813 0.6911 0.0474
0.7859 0.6433 0.2858
0.6907 0.5956 0.5240
0.0236 0.2614 0.1897
0.9283 0.2144 0.4282
0.8331 0.1680 0.6665
0.1669 0.8320 0.3335
0.0717 0.7856 0.5718
0.9764 0.7386 0.8103
0.3093 0.4044 0.4760
0.2141 0.3567 0.7142
0.1187 0.3089 0.9526
0.4528 0.9759 0.6193
0.3578 0.9274 0.8572
0.5952 0.5459 0.7617
0.5000 0.5000 0.0000
0.7392 0.1188 0.9051
0.2026 0.2484 0.1223
0.4388 0.8613 0.0255
0.3432 0.8128 0.2632
0.3245 0.5213 0.0702
0.5802 0.4331 0.1681
0.4852 0.3855 0.4054
0.4643 0.0915 0.2132
0.8155 0.0546 0.0740
0.7232 0.0046 0.3102
0.6289 0.9572 0.5488
0.7054 0.7109 0.1177
0.6120 0.6656 0.3574
0.9612 0.6218 0.2155
0.8663 0.5754 0.4534
0.7710 0.5265 0.6910
0.9431 0.3300 0.0227
0.8477 0.2829 0.2609
0.7517 0.2353 0.4972
0.1040 0.1939 0.3575
0.0083 0.1467 0.5962
0.9126 0.1032 0.8319
0.0874 0.8968 0.1681
0.9917 0.8533 0.4038
0.8960 0.8061 0.6425
0.2483 0.7647 0.5028
0.1523 0.7171 0.7391
0.0569 0.6700 0.9773
0.2290 0.4735 0.3090
0.1337 0.4246 0.5466
0.0388 0.3782 0.7845
0.3880 0.3344 0.6426
0.2946 0.2891 0.8823
0.3711 0.0428 0.4512
0.2768 0.9954 0.6898
0.1845 0.9454 0.9260
0.5357 0.9085 0.7868
0.5148 0.6145 0.5946
0.4198 0.5669 0.8319
0.6755 0.4787 0.9298
0.6568 0.1872 0.7368
0.5612 0.1387 0.9745
0.7974 0.7516 0.8777
```

Properties
Spin magnetization   1.0 μB/f.u.
Total energy after the MP2020 corrections   -538.5 eV/cell
Energy of formation   -1.726 eV per atom
Calculated volume   696 Å³/cell

Entry 4:
Li2CoO3 | PBE+U | optimized geometry

Geometry as POSCAR:
```
Li2CoO3
1.0
4.4113 2.4816 0.0000
-4.4113 2.4816 0.0000
0.0000 1.5756 4.7797
Li Co O
4 2 6
Direct
0.1696 0.8304 0.5000
0.8396 0.1604 0.5000
0.4963 0.5037 0.5000
0.3342 0.6658 0.0000
0.9976 0.0024 0.0000
0.6727 0.3273 0.0000
0.2318 0.2188 0.2248
0.9029 0.5977 0.2267
0.6217 0.9369 0.2330
0.0631 0.3783 0.7670
0.7812 0.7682 0.7752
0.4023 0.0971 0.7733
```

Properties
Spin magnetization   1.0 μB/f.u.
Total energy after the MP2020 corrections   -72.0 eV/cell
Energy of formation   -1.709 eV per atom
Calculated volume   105 Å³/cell

Entry 5:
Li4CoO4 | PBE+U | optimized geometry

Geometry as POSCAR:
```
Li4CoO4
1.0
-5.1258 2.8177 -7.4875
7.0915 -1.5227 -5.4277
-2.7788 -8.7930 -1.4066
Li Co O
32 8 32
Direct
0.1341 0.8485 0.3874
0.8659 0.8485 0.8874
0.3809 0.7015 0.9096
0.6191 0.7015 0.4096
0.8856 0.6481 0.1079
0.1144 0.6481 0.6079
0.1025 0.6393 0.8700
0.8975 0.6393 0.3700
0.3511 0.6284 0.3290
0.6489 0.6284 0.8290
0.1416 0.5984 0.1393
0.8584 0.5984 0.6393
0.6334 0.4103 0.3587
0.3666 0.4103 0.8587
0.1406 0.3771 0.6624
0.8594 0.3771 0.1624
0.6018 0.3816 0.6291
0.3982 0.3816 0.1291
0.6319 0.3503 0.8997
0.3681 0.3503 0.3997
0.1295 0.3318 0.1104
0.8705 0.3318 0.6104
0.6412 0.1370 0.0982
0.3588 0.1370 0.5982
0.8775 0.1297 0.4017
0.1225 0.1297 0.9017
0.1001 0.1103 0.6374
0.8999 0.1103 0.1374
0.6298 0.0843 0.6647
0.3702 0.0843 0.1647
0.1307 0.1141 0.3640
0.8693 0.1141 0.8640
0.1092 0.8741 0.1095
0.8908 0.8741 0.6095
0.6189 0.6238 0.1128
0.3811 0.6238 0.6128
0.1017 0.3884 0.3843
0.8983 0.3884 0.8843
0.6104 0.1292 0.3797
0.3896 0.1292 0.8797
0.0077 0.9891 0.4987
0.9923 0.9891 0.9987
0.2087 0.9829 0.2311
0.7913 0.9829 0.7311
0.2111 0.7476 0.0068
0.7889 0.7476 0.5068
0.0210 0.7425 0.2323
0.9790 0.7425 0.7323
0.5081 0.7129 0.2294
0.4919 0.7129 0.7294
0.7336 0.7198 0.9929
0.2664 0.7198 0.4929
0.7479 0.5381 0.2389
0.2521 0.5381 0.7389
0.4894 0.5085 0.4924
0.5106 0.5085 0.9924
0.0023 0.4892 0.0142
0.9977 0.4892 0.5142
0.2406 0.4556 0.2563
0.7594 0.4556 0.7563
0.2116 0.2550 0.5029
0.7884 0.2550 0.0029
0.9986 0.2563 0.2676
0.0014 0.2563 0.7676
0.5009 0.2464 0.2637
0.4991 0.2464 0.7637
0.7158 0.2500 0.4955
0.2842 0.2500 0.9955
0.7387 0.0576 0.2649
0.2613 0.0576 0.7649
0.4935 0.0352 0.0004
0.5065 0.0352 0.5004
```

Properties
Spin magnetization   3.9 μB/f.u.
Total energy after the MP2020 corrections   -402.5 eV/cell
Energy of formation   -1.753 eV per atom
Energy above the lowest structure with this stoichiometry   34 meV per atom
Calculated volume   803 Å³/cell

Entry 6:
LiCo2O4 | PBE+U | optimized geometry

Geometry as POSCAR:
```
LiCo2O4
1.0
8.0678 0.0000 0.0000
0.0000 8.0577 0.0000
0.0000 0.0042 8.0659
Li Co O
8 16 32
Direct
0.0004 0.5008 0.7467
0.2479 0.2480 0.0004
0.7488 0.2477 0.4991
0.5015 0.0006 0.7456
0.0015 0.9994 0.2544
0.7479 0.7520 0.9996
0.2488 0.7523 0.5009
0.5004 0.4992 0.2533
0.6244 0.3755 0.8748
0.8755 0.3763 0.1258
0.3722 0.3730 0.6235
0.1256 0.3741 0.3750
0.6243 0.1250 0.1240
0.8776 0.1246 0.8726
0.3748 0.1240 0.3747
0.1247 0.1240 0.6239
0.3776 0.8754 0.1274
0.1243 0.8750 0.8760
0.6247 0.8760 0.3761
0.8748 0.8760 0.6253
0.3755 0.6237 0.8742
0.1244 0.6245 0.1252
0.6256 0.6259 0.6250
0.8722 0.6270 0.3765
0.3873 0.3903 0.8615
0.6092 0.3828 0.6422
0.8888 0.3842 0.3567
0.8610 0.3656 0.8906
0.1119 0.3915 0.1363
0.6381 0.3647 0.1079
0.3618 0.3602 0.3917
0.1412 0.3638 0.6110
0.6411 0.1430 0.8833
0.8626 0.1426 0.1104
0.1399 0.1386 0.3882
0.6140 0.1091 0.3582
0.3625 0.1405 0.6107
0.3885 0.1084 0.1357
0.1081 0.1090 0.8646
0.8859 0.1118 0.6416
0.6081 0.8910 0.1354
0.3859 0.8882 0.3584
0.1140 0.8909 0.6418
0.1411 0.8570 0.1167
0.8885 0.8916 0.8643
0.3626 0.8574 0.8896
0.6399 0.8614 0.6118
0.8625 0.8595 0.3893
0.3610 0.6344 0.1094
0.1381 0.6353 0.8921
0.8618 0.6398 0.6083
0.3888 0.6158 0.6433
0.6412 0.6362 0.3890
0.6119 0.6085 0.8637
0.8873 0.6097 0.1385
0.1092 0.6172 0.3578
```

Properties
Spin magnetization   0.0 μB/f.u.
Total energy after the MP2020 corrections   -369.5 eV/cell
Energy of formation   -1.468 eV per atom
Energy above the lowest structure with this stoichiometry   46 meV per atom
Calculated volume   524 Å³/cell

Entry 7:
LiCo2O4 | PBE+U | optimized geometry

Geometry as POSCAR:
```
LiCo2O4
1.0
-4.1390 2.5288 0.5180
-3.0213 -4.3592 -2.1177
-2.0677 -4.0014 3.5656
Li Co O
2 4 8
Direct
0.2517 0.3450 0.0012
0.7483 0.6550 0.9988
0.2491 0.1152 0.5155
0.7509 0.8848 0.4845
0.7524 0.3428 0.5335
0.2476 0.6572 0.4665
0.9114 0.9999 0.7140
0.5733 0.2277 0.2993
0.0886 0.0001 0.2860
0.0663 0.4587 0.3059
0.4128 0.2741 0.7013
0.4267 0.7723 0.7007
0.9337 0.5413 0.6941
0.5872 0.7259 0.2987
```

Properties
Spin magnetization   1.0 μB/f.u.
Total energy after the MP2020 corrections   -92.0 eV/cell
Energy of formation   -1.443 eV per atom
Energy above the lowest structure with this stoichiometry   71 meV per atom
Calculated volume   139 Å³/cell

Entry 8:
Li3CoO3 | PBE+U | optimized geometry

Geometry as POSCAR:
```
Li3CoO3
1.0
5.2167 0.0000 0.0000
-0.0926 5.4827 0.0000
-0.0012 -2.6190 4.9326
Li Co O
6 2 6
Direct
0.9144 0.4738 0.2017
0.8721 0.9932 0.7913
0.5547 0.7349 0.9907
0.4453 0.2651 0.0093
0.1279 0.0068 0.2087
0.0856 0.5262 0.7983
0.6505 0.2880 0.5007
0.3495 0.7120 0.4993
0.7647 0.0674 0.1651
0.7496 0.3590 0.8406
0.7103 0.6555 0.5255
0.2897 0.3445 0.4745
0.2504 0.6410 0.1594
0.2353 0.9326 0.8349
```

Properties
Spin magnetization   4.0 μB/f.u.
Total energy after the MP2020 corrections   -81.1 eV/cell
Energy of formation   -1.840 eV per atom
Energy above the lowest structure with this stoichiometry   0 meV per atom
Calculated volume   141 Å³/cell